! LaWN3 PBE optimized geometry; values from VASP
&SYSTEM
  ibrav = 0, nat = 5, ntyp = 3
/
ATOMIC_SPECIES
La 138.91 La.upf
W 183.84 W.upf
N 14.01 N.upf
CELL_PARAMETERS angstrom
2.8513 1.6462 2.3542
-2.8513 1.6462 2.3542
0.0000 -3.2924 2.3542
ATOMIC_POSITIONS angstrom
La 0.0000 0.0000 0.0000
W 0.0000 0.0000 3.5694
N -1.4513 -0.8379 2.6897
N 1.4513 -0.8379 2.6897
N 0.0000 1.6759 2.6897
! **Space-group type**: R3m
! **Formation enthalpy at 0 K**: -1.199 eV/atom